(1)
{"formula": "Li2Mn3CoO8", "functional": "PBE with a Hubbard U", "state": "optimized geometry", "cell": [[5.917, 0.000, 0.000], [2.949, 5.140, 0.000], [2.851, 1.453, 9.591]], "species": ["Li", "Li", "Li", "Li", "Mn", "Mn", "Mn", "Mn", "Mn", "Mn", "Co", "Co", "O", "O", "O", "O", "O", "O", "O", "O", "O", "O", "O", "O", "O", "O", "O", "O"], "frac_coords": [[0.000, 0.000, 0.000], [0.122, 0.158, 0.614], [0.491, 0.507, 0.497], [0.632, 0.651, 0.117], [0.061, 0.579, 0.307], [0.061, 0.581, 0.806], [0.317, 0.321, 0.058], [0.561, 0.079, 0.307], [0.561, 0.079, 0.807], [0.806, 0.837, 0.556], [0.061, 0.079, 0.307], [0.562, 0.579, 0.807], [0.143, 0.714, 0.432], [0.203, 0.227, 0.410], [0.203, 0.655, 0.933], [0.227, 0.191, 0.935], [0.420, 0.432, 0.191], [0.432, 0.436, 0.705], [0.434, 0.992, 0.182], [0.467, 0.943, 0.686], [0.655, 0.214, 0.927], [0.688, 0.166, 0.431], [0.690, 0.722, 0.909], [0.703, 0.726, 0.423], [0.896, 0.967, 0.678], [0.918, 0.502, 0.680], [0.920, 0.931, 0.204], [0.978, 0.444, 0.182]], "crystal_system": "triclinic"}



(2)
{"formula": "Li7Mn4CoO12", "functional": "PBE with a Hubbard U", "state": "optimized geometry", "cell": [[2.969, 0.000, 0.000], [-0.245, 10.161, 0.000], [-0.619, -4.492, 14.456]], "species": ["Li", "Li", "Li", "Li", "Li", "Li", "Li", "Li", "Li", "Li", "Li", "Li", "Li", "Li", "Mn", "Mn", "Mn", "Mn", "Mn", "Mn", "Mn", "Mn", "Co", "Co", "O", "O", "O", "O", "O", "O", "O", "O", "O", "O", "O", "O", "O", "O", "O", "O", "O", "O", "O", "O", "O", "O", "O", "O"], "frac_coords": [[0.000, 0.000, 0.000], [0.000, 0.254, 0.835], [0.000, 0.746, 0.165], [0.008, 0.242, 0.161], [0.008, 0.757, 0.496], [0.492, 0.757, 0.339], [0.493, 0.243, 0.004], [0.497, 0.254, 0.335], [0.500, 0.000, 0.500], [0.503, 0.746, 0.665], [0.507, 0.757, 0.996], [0.508, 0.243, 0.661], [0.992, 0.243, 0.504], [0.992, 0.758, 0.839], [0.007, 0.996, 0.337], [0.009, 0.499, 0.667], [0.492, 0.004, 0.163], [0.499, 0.498, 0.164], [0.501, 0.502, 0.836], [0.508, 0.996, 0.837], [0.991, 0.501, 0.333], [0.993, 0.004, 0.663], [0.000, 0.500, 0.000], [0.500, 0.500, 0.500], [0.008, 0.882, 0.409], [0.009, 0.615, 0.584], [0.011, 0.106, 0.243], [0.030, 0.108, 0.902], [0.038, 0.382, 0.078], [0.042, 0.383, 0.750], [0.456, 0.619, 0.421], [0.462, 0.615, 0.083], [0.466, 0.617, 0.752], [0.473, 0.892, 0.598], [0.488, 0.894, 0.257], [0.492, 0.118, 0.091], [0.508, 0.882, 0.909], [0.512, 0.106, 0.743], [0.527, 0.108, 0.402], [0.534, 0.383, 0.248], [0.538, 0.385, 0.917], [0.544, 0.381, 0.579], [0.958, 0.617, 0.250], [0.962, 0.618, 0.922], [0.970, 0.892, 0.098], [0.989, 0.894, 0.757], [0.991, 0.385, 0.416], [0.992, 0.118, 0.591]], "crystal_system": "triclinic"}



(3)
{"formula": "Li6Mn5CoO12", "functional": "PBE with a Hubbard U", "state": "optimized geometry", "cell": [[5.123, 0.000, 0.000], [2.205, 4.637, 0.000], [1.099, -0.516, 10.262]], "species": ["Li", "Li", "Li", "Li", "Li", "Li", "Mn", "Mn", "Mn", "Mn", "Mn", "Co", "O", "O", "O", "O", "O", "O", "O", "O", "O", "O", "O", "O"], "frac_coords": [[0.029, 0.330, 0.280], [0.310, 0.992, 0.716], [0.347, 0.684, 0.285], [0.653, 0.316, 0.715], [0.690, 0.008, 0.284], [0.971, 0.670, 0.720], [0.169, 0.669, 0.000], [0.331, 0.333, 0.500], [0.500, 0.000, 0.000], [0.669, 0.667, 0.500], [0.831, 0.331, 0.000], [0.000, 0.000, 0.500], [0.017, 0.308, 0.617], [0.150, 0.335, 0.094], [0.225, 0.960, 0.897], [0.323, 0.034, 0.386], [0.355, 0.628, 0.615], [0.445, 0.711, 0.104], [0.555, 0.289, 0.896], [0.645, 0.372, 0.385], [0.677, 0.966, 0.614], [0.775, 0.040, 0.103], [0.850, 0.665, 0.906], [0.983, 0.692, 0.383]], "crystal_system": "triclinic"}



(4)
{"formula": "Li2MnCoO4", "functional": "PBE with a Hubbard U", "state": "optimized geometry", "cell": [[2.984, 0.000, 0.000], [-1.151, 4.962, 0.000], [-0.630, -1.809, 10.109]], "species": ["Li", "Li", "Li", "Li", "Mn", "Mn", "Co", "Co", "O", "O", "O", "O", "O", "O", "O", "O"], "frac_coords": [[0.000, 0.000, 0.000], [0.000, 0.000, 0.500], [0.494, 0.996, 0.251], [0.506, 0.004, 0.749], [0.257, 0.506, 0.375], [0.743, 0.494, 0.625], [0.247, 0.494, 0.875], [0.753, 0.506, 0.125], [0.099, 0.262, 0.690], [0.129, 0.278, 0.189], [0.371, 0.728, 0.062], [0.392, 0.730, 0.557], [0.608, 0.270, 0.443], [0.629, 0.272, 0.938], [0.871, 0.722, 0.811], [0.901, 0.738, 0.310]], "crystal_system": "triclinic"}



(5)
{"formula": "Li2MnCoO4", "functional": "PBE with a Hubbard U", "state": "optimized geometry", "cell": [[5.082, 0.000, 0.000], [1.783, 5.554, 0.000], [0.439, 2.913, 5.277]], "species": ["Li", "Li", "Li", "Li", "Mn", "Mn", "Co", "Co", "O", "O", "O", "O", "O", "O", "O", "O"], "frac_coords": [[0.000, 0.000, 0.000], [0.005, 0.994, 0.505], [0.494, 0.000, 0.252], [0.511, 0.994, 0.752], [0.005, 0.498, 0.505], [0.504, 0.497, 0.251], [0.000, 0.497, 0.998], [0.502, 0.496, 0.756], [0.244, 0.259, 0.891], [0.250, 0.720, 0.880], [0.255, 0.267, 0.379], [0.259, 0.722, 0.385], [0.750, 0.271, 0.628], [0.750, 0.277, 0.115], [0.752, 0.726, 0.118], [0.759, 0.735, 0.623]], "crystal_system": "triclinic"}



(6)
{"formula": "Li7Mn2Co3O12", "functional": "PBE with a Hubbard U", "state": "optimized geometry", "cell": [[2.925, 0.000, 0.000], [0.528, 9.770, 0.000], [0.266, 2.978, 14.919]], "species": ["Li", "Li", "Li", "Li", "Li", "Li", "Li", "Li", "Li", "Li", "Li", "Li", "Li", "Li", "Mn", "Mn", "Mn", "Mn", "Co", "Co", "Co", "Co", "Co", "Co", "O", "O", "O", "O", "O", "O", "O", "O", "O", "O", "O", "O", "O", "O", "O", "O", "O", "O", "O", "O", "O", "O", "O", "O"], "frac_coords": [[0.000, 0.000, 0.000], [0.000, 0.010, 0.657], [0.001, 0.505, 0.498], [0.473, 0.242, 0.583], [0.479, 0.742, 0.083], [0.494, 0.002, 0.499], [0.498, 0.251, 0.250], [0.498, 0.500, 0.000], [0.499, 0.751, 0.749], [0.512, 0.760, 0.416], [0.519, 0.258, 0.917], [0.994, 0.488, 0.845], [0.997, 0.992, 0.341], [0.998, 0.510, 0.157], [0.005, 0.759, 0.577], [0.016, 0.256, 0.081], [0.980, 0.246, 0.419], [0.982, 0.744, 0.919], [0.007, 0.249, 0.752], [0.478, 0.500, 0.330], [0.482, 0.998, 0.831], [0.515, 0.500, 0.670], [0.518, 0.001, 0.169], [0.998, 0.751, 0.249], [0.003, 0.380, 0.635], [0.005, 0.361, 0.968], [0.018, 0.622, 0.364], [0.022, 0.119, 0.866], [0.025, 0.625, 0.699], [0.047, 0.124, 0.201], [0.462, 0.370, 0.448], [0.464, 0.627, 0.214], [0.465, 0.867, 0.948], [0.471, 0.127, 0.715], [0.485, 0.860, 0.618], [0.495, 0.359, 0.121], [0.500, 0.143, 0.379], [0.502, 0.640, 0.879], [0.524, 0.637, 0.546], [0.531, 0.874, 0.284], [0.533, 0.132, 0.052], [0.542, 0.369, 0.789], [0.949, 0.377, 0.299], [0.952, 0.876, 0.799], [0.977, 0.880, 0.134], [0.990, 0.141, 0.533], [0.993, 0.639, 0.033], [0.997, 0.866, 0.464]], "crystal_system": "triclinic"}



(7)
{"formula": "Li7Mn2Co3O12", "functional": "PBE with a Hubbard U", "state": "optimized geometry", "cell": [[5.873, 0.000, 0.000], [0.291, 5.894, 0.000], [1.492, 1.557, 6.097]], "species": ["Li", "Li", "Li", "Li", "Li", "Li", "Li", "Mn", "Mn", "Co", "Co", "Co", "O", "O", "O", "O", "O", "O", "O", "O", "O", "O", "O", "O"], "frac_coords": [[0.000, 0.000, 0.000], [0.000, 0.499, 0.004], [0.164, 0.165, 0.330], [0.323, 0.838, 0.680], [0.500, 0.503, 0.000], [0.673, 0.168, 0.323], [0.836, 0.836, 0.674], [0.668, 0.674, 0.335], [0.834, 0.328, 0.674], [0.164, 0.671, 0.329], [0.329, 0.327, 0.674], [0.499, 0.000, 0.005], [0.073, 0.100, 0.660], [0.078, 0.556, 0.655], [0.245, 0.746, 0.024], [0.273, 0.240, 0.984], [0.418, 0.445, 0.355], [0.431, 0.914, 0.332], [0.589, 0.109, 0.679], [0.597, 0.580, 0.653], [0.726, 0.761, 0.021], [0.757, 0.259, 0.980], [0.893, 0.421, 0.347], [0.907, 0.883, 0.336]], "crystal_system": "triclinic"}



(8)
{"formula": "Li7Mn4CoO12", "functional": "PBE with a Hubbard U", "state": "optimized geometry", "cell": [[5.238, 0.000, 0.000], [2.099, 5.614, 0.000], [2.051, 1.273, 7.395]], "species": ["Li", "Li", "Li", "Li", "Li", "Li", "Li", "Mn", "Mn", "Mn", "Mn", "Co", "O", "O", "O", "O", "O", "O", "O", "O", "O", "O", "O", "O"], "frac_coords": [[0.000, 0.000, 0.000], [0.003, 0.490, 0.996], [0.009, 0.650, 0.320], [0.018, 0.176, 0.326], [0.499, 0.327, 0.161], [0.991, 0.821, 0.657], [0.997, 0.333, 0.655], [0.497, 0.490, 0.488], [0.501, 0.997, 0.489], [0.503, 0.829, 0.157], [0.506, 0.170, 0.829], [0.506, 0.663, 0.831], [0.260, 0.308, 0.413], [0.261, 0.810, 0.395], [0.265, 0.478, 0.738], [0.271, 0.148, 0.065], [0.295, 0.678, 0.066], [0.302, 0.996, 0.749], [0.715, 0.334, 0.897], [0.716, 0.972, 0.245], [0.725, 0.676, 0.590], [0.735, 0.509, 0.246], [0.739, 0.176, 0.586], [0.745, 0.852, 0.920]], "crystal_system": "triclinic"}



(9)
{"formula": "Li7Mn4CoO12", "functional": "PBE with a Hubbard U", "state": "optimized geometry", "cell": [[2.675, -1.431, 0.000], [2.675, 1.431, 0.000], [-1.747, 0.000, 29.439]], "species": ["Li", "Li", "Li", "Li", "Li", "Li", "Li", "Mn", "Mn", "Mn", "Mn", "Co", "O", "O", "O", "O", "O", "O", "O", "O", "O", "O", "O", "O"], "frac_coords": [[0.000, 0.000, 0.000], [0.000, 0.000, 0.251], [0.001, 0.001, 0.750], [0.334, 0.334, 0.582], [0.339, 0.339, 0.078], [0.664, 0.664, 0.921], [0.669, 0.669, 0.414], [0.003, 0.003, 0.499], [0.332, 0.332, 0.833], [0.668, 0.668, 0.666], [0.669, 0.669, 0.166], [0.335, 0.335, 0.333], [0.011, 0.011, 0.371], [0.014, 0.014, 0.130], [0.023, 0.023, 0.628], [0.313, 0.313, 0.704], [0.319, 0.319, 0.204], [0.338, 0.338, 0.957], [0.354, 0.354, 0.461], [0.648, 0.648, 0.538], [0.658, 0.658, 0.295], [0.665, 0.665, 0.042], [0.685, 0.685, 0.794], [0.986, 0.986, 0.869]], "crystal_system": "monoclinic"}



(10)
{"formula": "Li7Mn2Co3O12", "functional": "PBE with a Hubbard U", "state": "optimized geometry", "cell": [[7.632, -1.451, 0.000], [7.632, 1.451, 0.000], [-1.739, 0.000, 9.754]], "species": ["Li", "Li", "Li", "Li", "Li", "Li", "Li", "Mn", "Mn", "Co", "Co", "Co", "O", "O", "O", "O", "O", "O", "O", "O", "O", "O", "O", "O"], "frac_coords": [[0.000, 0.000, 0.000], [0.176, 0.176, 0.526], [0.332, 0.332, 0.985], [0.506, 0.506, 0.513], [0.669, 0.669, 0.997], [0.753, 0.753, 0.759], [0.838, 0.838, 0.514], [0.090, 0.090, 0.760], [0.253, 0.253, 0.254], [0.407, 0.407, 0.748], [0.583, 0.583, 0.262], [0.922, 0.922, 0.253], [0.050, 0.050, 0.381], [0.132, 0.132, 0.150], [0.202, 0.202, 0.873], [0.302, 0.302, 0.631], [0.373, 0.373, 0.359], [0.464, 0.464, 0.141], [0.548, 0.548, 0.867], [0.623, 0.623, 0.647], [0.718, 0.718, 0.366], [0.786, 0.786, 0.142], [0.883, 0.883, 0.873], [0.966, 0.966, 0.647]], "crystal_system": "monoclinic"}



(11)
{"formula": "Li6Mn3CoO10", "functional": "PBE with a Hubbard U", "state": "optimized geometry", "cell": [[12.103, -1.437, 0.000], [12.103, 1.437, 0.000], [-0.203, 0.000, 5.157]], "species": ["Li", "Li", "Li", "Li", "Li", "Li", "Mn", "Mn", "Mn", "Co", "O", "O", "O", "O", "O", "O", "O", "O", "O", "O"], "frac_coords": [[0.000, 0.000, 0.000], [0.199, 0.199, 0.394], [0.404, 0.404, 0.798], [0.501, 0.501, 0.502], [0.597, 0.597, 0.207], [0.800, 0.800, 0.602], [0.097, 0.097, 0.685], [0.299, 0.299, 0.105], [0.904, 0.904, 0.323], [0.699, 0.699, 0.886], [0.055, 0.055, 0.384], [0.154, 0.154, 0.010], [0.243, 0.243, 0.754], [0.356, 0.356, 0.449], [0.445, 0.445, 0.165], [0.556, 0.556, 0.843], [0.645, 0.645, 0.560], [0.753, 0.753, 0.238], [0.848, 0.848, 0.986], [0.946, 0.946, 0.622]], "crystal_system": "monoclinic"}



(12)
{"formula": "Li7Mn2Co3O12", "functional": "PBE with a Hubbard U", "state": "optimized geometry", "cell": [[5.035, 0.000, 0.000], [1.766, 5.606, 0.000], [1.563, 1.189, 7.602]], "species": ["Li", "Li", "Li", "Li", "Li", "Li", "Li", "Mn", "Mn", "Co", "Co", "Co", "O", "O", "O", "O", "O", "O", "O", "O", "O", "O", "O", "O"], "frac_coords": [[0.000, 0.000, 0.000], [0.001, 0.334, 0.673], [0.006, 0.658, 0.323], [0.007, 0.498, 0.998], [0.492, 0.167, 0.842], [0.496, 0.495, 0.503], [0.510, 0.828, 0.159], [0.494, 0.000, 0.501], [0.999, 0.826, 0.672], [0.494, 0.335, 0.166], [0.517, 0.637, 0.848], [0.996, 0.179, 0.323], [0.237, 0.854, 0.435], [0.240, 0.525, 0.742], [0.251, 0.307, 0.426], [0.257, 0.976, 0.734], [0.263, 0.175, 0.099], [0.273, 0.650, 0.085], [0.721, 0.013, 0.268], [0.743, 0.139, 0.580], [0.743, 0.470, 0.251], [0.744, 0.340, 0.907], [0.750, 0.693, 0.583], [0.765, 0.829, 0.894]], "crystal_system": "triclinic"}



(13)
{"formula": "Li3MnCo4O8", "functional": "PBE with a Hubbard U", "state": "optimized geometry", "cell": [[5.137, -2.972, 0.000], [5.137, 2.972, 0.000], [-3.511, 0.000, 4.877]], "species": ["Li", "Li", "Li", "Mn", "Co", "Co", "Co", "Co", "O", "O", "O", "O", "O", "O", "O", "O"], "frac_coords": [[0.000, 0.000, 0.000], [0.000, 0.500, 0.500], [0.500, 0.000, 0.500], [0.500, 0.500, 0.500], [0.000, 0.000, 0.500], [0.000, 0.500, 0.000], [0.500, 0.000, 0.000], [0.500, 0.500, 0.000], [0.250, 0.250, 0.765], [0.264, 0.264, 0.258], [0.267, 0.732, 0.267], [0.268, 0.733, 0.733], [0.732, 0.267, 0.267], [0.733, 0.268, 0.733], [0.736, 0.736, 0.742], [0.750, 0.750, 0.235]], "crystal_system": "monoclinic"}



| no. | DFT total energy (eV per atom) | ΔE_f (meV/atom) |
| --- | --- | --- |
| 1 | -6.62 | -1918 |
| 2 | -6.21 | -2041 |
| 3 | -6.44 | -2043 |
| 4 | -6.10 | -1874 |
| 5 | -6.12 | -1894 |
| 6 | -5.86 | -1868 |
| 7 | -5.86 | -1867 |
| 8 | -6.22 | -2059 |
| 9 | -6.09 | -1923 |
| 10 | -5.85 | -1859 |
| 11 | -6.13 | -2025 |
| 12 | -5.88 | -1880 |
| 13 | -6.00 | -1678 |